[1]
# LuTiGe | the Materials Project | r²SCAN | optimized geometry
# - Calculated formation energy: -0.8019 eV/atom
# - V: 119.4 Å³ per cell
# - Spin magnetization: 0.49 μB per formula unit
data_LuTiGe
_chemical_formula_sum 'Lu2 Ti2 Ge2'
_space_group_name_H-M_alt 'P 4/n m m'
_space_group_IT_number 129
_cell_length_a 3.9850
_cell_length_b 3.9850
_cell_length_c 7.5182
_cell_angle_alpha 90.00
_cell_angle_beta 90.00
_cell_angle_gamma 90.00
loop_
_space_group_symop_operation_xyz
'x,y,z'
'-x,-y,-z'
'-y+1/2,x,z'
'y+1/2,-x,-z'
'-x+1/2,-y+1/2,z'
'x+1/2,y+1/2,-z'
'y,-x+1/2,z'
'-y,x+1/2,-z'
'x+1/2,-y,-z'
'-x+1/2,y,z'
'-y,-x,-z'
'y,x,z'
'-x,y+1/2,-z'
'x,-y+1/2,z'
'y+1/2,x+1/2,-z'
'-y+1/2,-x+1/2,z'
loop_
_atom_site_label
_atom_site_type_symbol
_atom_site_fract_x
_atom_site_fract_y
_atom_site_fract_z
Lu1 Lu 0.2500 0.2500 0.1531
Ti1 Ti 0.2500 0.7500 0.5000
Ge1 Ge 0.2500 0.2500 0.7518



[2]
# ErGa | the Materials Project | r²SCAN | optimized geometry
# - Calculated formation energy: -0.7314 eV/atom
# - V: 183.2 Å³ per cell
# - Spin magnetization: 0.00 μB per formula unit
data_ErGa
_chemical_formula_sum 'Er4 Ga4'
_space_group_name_H-M_alt 'C m c m'
_space_group_IT_number 63
_space_group_name_Hall '-C 2c 2'
_cell_length_a 4.2876
_cell_length_b 10.6686
_cell_length_c 4.0043
_cell_angle_alpha 90.00
_cell_angle_beta 90.00
_cell_angle_gamma 90.00
loop_
_atom_site_label
_atom_site_type_symbol
_atom_site_fract_x
_atom_site_fract_y
_atom_site_fract_z
Er1 Er 0.0000 0.1385 0.2500
Ga1 Ga 0.0000 0.4233 0.2500



[3]
# V4Zn5 | the Materials Project | r²SCAN | optimized geometry
# - Calculated formation energy: -0.0732 eV/atom
# - V: 245.3 Å³ per cell
# - Spin magnetization: 0.00 μB per formula unit
data_V4Zn5
_chemical_formula_sum 'V8 Zn10'
_space_group_name_H-M_alt 'I 4/m m m'
_space_group_IT_number 139
_space_group_name_Hall '-I 4 2'
_cell_length_a 8.7748
_cell_length_b 8.7748
_cell_length_c 3.1861
_cell_angle_alpha 90.00
_cell_angle_beta 90.00
_cell_angle_gamma 90.00
loop_
_atom_site_label
_atom_site_type_symbol
_atom_site_fract_x
_atom_site_fract_y
_atom_site_fract_z
V1 V 0.0000 0.3426 0.0000
Zn1 Zn 0.0000 0.0000 0.0000
Zn2 Zn 0.1696 0.1696 0.5000



[4]
# Te2O3F2 | the Materials Project | r²SCAN | optimized geometry
# - Calculated formation energy: -1.5342 eV/atom
# - V: 204.3 Å³ per cell
# - Spin magnetization: 0.00 μB per formula unit
data_Te2O3F2
_chemical_formula_sum 'Te4 O6 F4'
_space_group_name_H-M_alt 'P -1'
_space_group_IT_number 2
_space_group_name_Hall '-P 1'
_cell_length_a 5.1456
_cell_length_b 6.2506
_cell_length_c 6.8833
_cell_angle_alpha 98.53
_cell_angle_beta 110.23
_cell_angle_gamma 92.68
loop_
_atom_site_label
_atom_site_type_symbol
_atom_site_fract_x
_atom_site_fract_y
_atom_site_fract_z
Te1 Te 0.1137 0.4031 0.2122
Te2 Te 0.3676 0.0239 0.7576
O1 O 0.0208 0.8681 0.7090
O2 O 0.1405 0.6821 0.0656
O3 O 0.3862 0.1494 0.0684
F1 F 0.1700 0.4545 0.7080
F2 F 0.3976 0.8004 0.5272



[5]
# BaThO3 | the Materials Project | r²SCAN | optimized geometry
# - Calculated formation energy: -3.6238 eV/atom
# - V: 367.8 Å³ per cell
# - Spin magnetization: 0.00 μB per formula unit
data_BaThO3
_chemical_formula_sum 'Ba4 Th4 O12'
_space_group_name_H-M_alt 'P n m a'
_space_group_IT_number 62
_space_group_name_Hall '-P 2ac 2n'
_cell_length_a 6.4142
_cell_length_b 9.0064
_cell_length_c 6.3661
_cell_angle_alpha 90.00
_cell_angle_beta 90.00
_cell_angle_gamma 90.00
loop_
_atom_site_label
_atom_site_type_symbol
_atom_site_fract_x
_atom_site_fract_y
_atom_site_fract_z
Ba1 Ba 0.0310 0.2500 0.0104
Th1 Th 0.0000 0.0000 0.5000
O1 O 0.0282 0.7500 0.4091
O2 O 0.2148 0.5496 0.7852



[6]
# KEuZrGeO6 | the Materials Project | r²SCAN | optimized geometry
# - Calculated formation energy: -2.6969 eV/atom
# - V: 492.9 Å³ per cell
# - Spin magnetization: 6.00 μB per formula unit
data_KEuZrGeO6
_chemical_formula_sum 'K4 Eu4 Zr4 Ge4 O24'
_space_group_name_H-M_alt 'F -4 3 m'
_space_group_IT_number 216
_space_group_name_Hall 'F -4 2 3'
_cell_length_a 7.8994
_cell_length_b 7.8994
_cell_length_c 7.8994
_cell_angle_alpha 90.00
_cell_angle_beta 90.00
_cell_angle_gamma 90.00
loop_
_atom_site_label
_atom_site_type_symbol
_atom_site_fract_x
_atom_site_fract_y
_atom_site_fract_z
K1 K 0.0000 0.0000 0.0000
Eu1 Eu 0.0000 0.0000 0.5000
Zr1 Zr 0.2500 0.2500 0.2500
Ge1 Ge 0.2500 0.2500 0.7500
O1 O 0.0115 0.2500 0.7500



[7]
# Rb2Be3Cd2F12 | the Materials Project | r²SCAN | optimized geometry
# - Calculated formation energy: -3.0890 eV/atom
# - V: 1122.6 Å³ per cell
# - Spin magnetization: 0.00 μB per formula unit
data_Rb2Be3Cd2F12
_chemical_formula_sum 'Rb8 Be12 Cd8 F48'
_space_group_name_H-M_alt 'P 21 3'
_space_group_IT_number 198
_space_group_name_Hall 'P 2ac 2ab 3'
_cell_length_a 10.3931
_cell_length_b 10.3931
_cell_length_c 10.3931
_cell_angle_alpha 90.00
_cell_angle_beta 90.00
_cell_angle_gamma 90.00
loop_
_atom_site_label
_atom_site_type_symbol
_atom_site_fract_x
_atom_site_fract_y
_atom_site_fract_z
Rb1 Rb 0.0543 0.0543 0.0543
Rb2 Rb 0.2067 0.7067 0.7933
Be1 Be 0.0250 0.7398 0.1254
Cd1 Cd 0.0766 0.9234 0.4234
Cd2 Cd 0.1655 0.3345 0.6655
F1 F 0.0054 0.1017 0.3297
F2 F 0.0095 0.8332 0.2405
F3 F 0.0227 0.9272 0.7859
F4 F 0.0695 0.1629 0.7497



[8]
# Ba2TlZn | the Materials Project | r²SCAN | optimized geometry
# - Calculated formation energy: -0.2853 eV/atom
# - V: 589.4 Å³ per cell
# - Spin magnetization: 0.00 μB per formula unit
data_Ba2TlZn
_chemical_formula_sum 'Ba8 Tl4 Zn4'
_space_group_name_H-M_alt 'F m -3 m'
_space_group_IT_number 225
_space_group_name_Hall '-F 4 2 3'
_cell_length_a 8.3842
_cell_length_b 8.3842
_cell_length_c 8.3842
_cell_angle_alpha 90.00
_cell_angle_beta 90.00
_cell_angle_gamma 90.00
loop_
_atom_site_label
_atom_site_type_symbol
_atom_site_fract_x
_atom_site_fract_y
_atom_site_fract_z
Ba1 Ba 0.2500 0.2500 0.2500
Tl1 Tl 0.0000 0.0000 0.0000
Zn1 Zn 0.0000 0.0000 0.5000



[9]
# LiFeF4 | the Materials Project | r²SCAN | optimized geometry
# - Calculated formation energy: -2.7785 eV/atom
# - V: 255.4 Å³ per cell
# - Spin magnetization: 5.00 μB per formula unit
data_LiFeF4
_chemical_formula_sum 'Li4 Fe4 F16'
_space_group_name_H-M_alt 'P b c n'
_space_group_IT_number 60
_space_group_name_Hall '-P 2n 2ab'
_cell_length_a 4.5963
_cell_length_b 5.5767
_cell_length_c 9.9639
_cell_angle_alpha 90.00
_cell_angle_beta 90.00
_cell_angle_gamma 90.00
loop_
_atom_site_label
_atom_site_type_symbol
_atom_site_fract_x
_atom_site_fract_y
_atom_site_fract_z
Li1 Li 0.0000 0.0000 0.0000
Fe1 Fe 0.0000 0.3041 0.2500
F1 F 0.2128 0.2759 0.0898
F2 F 0.2365 0.0360 0.3295



[10]
# VCrO3 | the Materials Project | r²SCAN | optimized geometry
# - Calculated formation energy: -2.5141 eV/atom
# - V: 397.9 Å³ per cell
# - Spin magnetization: 5.00 μB per formula unit
data_VCrO3
_chemical_formula_sum 'V8 Cr8 O24'
_space_group_name_H-M_alt 'C 1 2 1'
_space_group_IT_number 5
_space_group_name_Hall 'C 2y'
_cell_length_a 9.5687
_cell_length_b 5.0496
_cell_length_c 8.6453
_cell_angle_alpha 90.00
_cell_angle_beta 107.72
_cell_angle_gamma 90.00
loop_
_atom_site_label
_atom_site_type_symbol
_atom_site_fract_x
_atom_site_fract_y
_atom_site_fract_z
V1 V 0.0973 0.0000 0.2023
V2 V 0.1496 0.9908 0.5455
Cr1 Cr 0.1029 0.4958 0.7009
Cr2 Cr 0.1492 0.5003 0.0505
O1 O 0.0000 0.2000 0.0000
O2 O 0.0000 0.6848 0.5000
O3 O 0.0006 0.6506 0.8476
O4 O 0.0026 0.1530 0.6532
O5 O 0.2481 0.3445 0.5966
O6 O 0.2492 0.8024 0.7494
O7 O 0.2489 0.8490 0.0966



[11]
# CeCrGe3 | the Materials Project | r²SCAN | optimized geometry
# - Calculated formation energy: -0.4566 eV/atom
# - V: 192.2 Å³ per cell
# - Spin magnetization: 1.52 μB per formula unit
data_CeCrGe3
_chemical_formula_sum 'Ce2 Cr2 Ge6'
_space_group_name_H-M_alt 'P 63/m m c'
_space_group_IT_number 194
_space_group_name_Hall '-P 6c 2c'
_cell_length_a 6.1095
_cell_length_b 6.1095
_cell_length_c 5.9463
_cell_angle_alpha 90.00
_cell_angle_beta 90.00
_cell_angle_gamma 120.00
loop_
_atom_site_label
_atom_site_type_symbol
_atom_site_fract_x
_atom_site_fract_y
_atom_site_fract_z
Ce1 Ce 0.3333 0.6667 0.2500
Cr1 Cr 0.0000 0.0000 0.0000
Ge1 Ge 0.1948 0.3896 0.7500



[12]
# KMo3S3 | the Materials Project | r²SCAN | optimized geometry
# - Calculated formation energy: -0.9324 eV/atom
# - V: 300.6 Å³ per cell
# - Spin magnetization: 0.00 μB per formula unit
data_KMo3S3
_chemical_formula_sum 'K2 Mo6 S6'
_space_group_name_H-M_alt 'P 63/m'
_space_group_IT_number 176
_space_group_name_Hall '-P 6c'
_cell_length_a 8.8591
_cell_length_b 8.8591
_cell_length_c 4.4226
_cell_angle_alpha 90.00
_cell_angle_beta 90.00
_cell_angle_gamma 120.00
loop_
_atom_site_label
_atom_site_type_symbol
_atom_site_fract_x
_atom_site_fract_y
_atom_site_fract_z
K1 K 0.3333 0.6667 0.2500
Mo1 Mo 0.0325 0.8468 0.2500
S1 S 0.0640 0.7116 0.7500